Material: SiSnO3
Method: DFT, PBE
State: relaxed

## Properties
Its symmetry is Pm-3m, No. 221. For the energy, the calculation gives -32.85 eV per cell. The calculation puts the magnetic moment at 0.0 μB per cell.

abc: 3.7122 3.7122 3.7122
angles: 90.00 90.00 90.00
Closest atoms and distances in Å follow each position.
Positions (direct):
Si1 0.5000 0.5000 0.5000  6 O 1.86
Sn1 0.0000 0.0000 0.0000  12 O 2.62
O1 0.5000 0.5000 0.0000  2 Si 1.86
O2 0.5000 0.0000 0.5000  2 Si 1.86
O3 0.0000 0.5000 0.5000  2 Si 1.86